Record 1
Density functional theory data (PBE) for a relaxed structure of Mn2ZnTe4.

Values from the calculation:
* SG: Fd-3m, No. 227
* energy relative to the elements: -0.47 eV per atom

a b c (Å): 8.1606 8.1606 8.1606
angles (deg): 60.00 60.00 60.00
Closest atoms and distances in Å follow each position.
Element x y z (fractional)
Zn 0.0000 0.0000 0.0000  4 Te 2.68
Te 0.3839 0.8482 0.3839  1 Zn 2.68, 3 Mn 2.79
Te 0.3839 0.3839 0.3839  1 Zn 2.68, 3 Mn 2.79
Te 0.3839 0.3839 0.8482  1 Zn 2.68, 3 Mn 2.79
Te 0.8661 0.8661 0.8661  1 Zn 2.68, 3 Mn 2.79
Te 0.4018 0.8661 0.8661  1 Zn 2.68, 3 Mn 2.79
Mn 0.6250 0.6250 0.1250  6 Te 2.79
Te 0.8661 0.8661 0.4018  1 Zn 2.68, 3 Mn 2.79
Te 0.8482 0.3839 0.3839  1 Zn 2.68, 3 Mn 2.79
Mn 0.1250 0.6250 0.6250  6 Te 2.79
Mn 0.6250 0.1250 0.6250  6 Te 2.79
Zn 0.2500 0.2500 0.2500  4 Te 2.68
Te 0.8661 0.4018 0.8661  1 Zn 2.68, 3 Mn 2.79
Mn 0.6250 0.6250 0.6250  6 Te 2.79

***

Record 2
Density functional theory data (PBE) for a relaxed structure of Na2ZrZn3S6O24.

Values from the calculation:
* SG: P3, No. 143
* energy relative to the elements: -2.09 eV per atom

a b c (Å): 8.7617 8.7617 22.9345
angles (deg): 90.00 90.00 120.00
Closest atoms and distances in Å follow each position.
Element x y z (fractional)
O 0.5196 0.8817 0.3627  1 S 1.48
O 0.8545 0.3065 0.5305  1 S 1.48
O 0.5292 0.8406 0.7570  1 S 1.48
O 0.7837 0.8110 0.1953  1 S 1.48
O 0.1890 0.9727 0.1953  1 S 1.48
S 0.3386 0.9624 0.9155  4 O 1.45-1.51
O 0.0221 0.8243 0.4090  1 S 1.55
O 0.5412 0.6900 0.9691  1 S 1.51
O 0.3114 0.4708 0.7570  1 S 1.48
O 0.1598 0.4719 0.2555  1 S 1.48
O 0.6951 0.1469 0.0294  1 S 1.47
Zn 0.6667 0.3333 0.1872  6 O 2.10-2.11
O 0.2076 0.1850 0.8031  1 S 1.56
S 0.7021 0.0002 0.7476  4 O 1.45-1.56
O 0.9773 0.1840 0.3008  1 S 1.51
S 0.6747 0.0483 0.0837  4 O 1.46-1.54
S 0.9517 0.6264 0.0837  4 O 1.46-1.54
O 0.3550 0.8610 0.5780  1 S 1.49
O 0.8160 0.7933 0.3008  1 S 1.51
O 0.4697 0.1614 0.2447  1 S 1.48
O 0.3588 0.8783 0.8638  1 S 1.45
Zn 0.3333 0.6667 0.5203  6 O 2.09-2.11
O 0.2067 0.0227 0.3008  1 S 1.51
O 0.6901 0.1615 0.7461  1 S 1.47
O 0.4714 0.3099 0.7461  1 S 1.47
O 0.8150 0.0226 0.8031  1 S 1.56
S 0.2957 0.9987 0.2480  4 O 1.48-1.51
O 0.6918 0.5303 0.2447  1 S 1.48
O 0.4935 0.3541 0.4224  1 S 1.47
O 0.1488 0.4588 0.9691  1 S 1.51
O 0.1939 0.1731 0.0889  1 S 1.47
Zn 0.3333 0.6667 0.3200  6 O 2.02-2.19
O 0.1757 0.1978 0.4090  1 S 1.55
S 0.3725 0.0382 0.5834  4 O 1.48-1.49
O 0.3621 0.4804 0.3627  1 S 1.48
S 0.0401 0.6587 0.4170  4 O 1.46-1.55
O 0.6382 0.1207 0.1356  1 S 1.46
O 0.3100 0.8512 0.9691  1 S 1.51
S 0.6657 0.6275 0.5834  4 O 1.48-1.49
O 0.1594 0.6886 0.7570  1 S 1.48
O 0.3121 0.8402 0.2555  1 S 1.48
O 0.4768 0.1156 0.6374  1 S 1.49
O 0.8267 0.8047 0.5888  1 S 1.49
O 0.9792 0.8061 0.0889  1 S 1.47
S 0.3413 0.3814 0.4170  4 O 1.46-1.55
O 0.0237 0.1978 0.9121  1 S 1.51
Zr 0.0000 0.0000 0.8484  6 O 2.02-2.20
O 0.4825 0.3618 0.1356  1 S 1.46
O 0.6935 0.5480 0.5305  1 S 1.48
O 0.9779 0.1733 0.5888  1 S 1.49
O 0.8531 0.5482 0.0294  1 S 1.47
O 0.5060 0.6450 0.5780  1 S 1.49
Na 0.0000 0.0000 0.0058  6 O 2.50-2.70
Na 0.6667 0.3333 0.8284  6 O 2.49-2.72
O 0.9774 0.7924 0.8031  1 S 1.56
O 0.5463 0.8508 0.4688  1 S 1.46
Zn 0.0000 0.0000 0.6435  6 O 2.05-2.15
Zn 0.6667 0.3333 0.9860  6 O 2.03-2.16
O 0.6388 0.5232 0.6374  1 S 1.49
Na 0.0000 0.0000 0.5079  3 O 2.46
O 0.1741 0.9763 0.9121  1 S 1.51
O 0.1217 0.4806 0.8638  1 S 1.45
O 0.6453 0.5069 0.9235  1 S 1.47
O 0.4931 0.1385 0.9235  1 S 1.47
S 0.9618 0.3343 0.5834  4 O 1.48-1.49
O 0.6459 0.1394 0.4224  1 S 1.47
O 0.1183 0.6379 0.3627  1 S 1.48
Zn 0.6667 0.3333 0.4887  6 O 2.02-2.22
S 0.7029 0.7043 0.2480  4 O 1.48-1.51
Zr 0.3333 0.6667 0.0218  6 O 2.07-2.11
O 0.1390 0.4940 0.5780  1 S 1.49
O 0.1352 0.6447 0.0762  1 S 1.54
O 0.0273 0.2163 0.1953  1 S 1.48
O 0.8385 0.5286 0.7461  1 S 1.47
O 0.8793 0.5175 0.1356  1 S 1.46
Na 0.6667 0.3333 0.3363  6 O 2.55-2.66
O 0.8386 0.3082 0.2447  1 S 1.48
O 0.5194 0.6412 0.8638  1 S 1.45
Zn 0.3333 0.6667 0.8121  6 O 2.06-2.12
O 0.8615 0.3547 0.9235  1 S 1.47
S 0.2981 0.2979 0.7476  4 O 1.45-1.56
S 0.0376 0.3763 0.9155  4 O 1.45-1.51
O 0.5281 0.6879 0.2555  1 S 1.48
O 0.1858 0.2119 0.6976  1 S 1.45
O 0.8022 0.9779 0.4090  1 S 1.55
S 0.0013 0.2971 0.2480  4 O 1.48-1.51
O 0.8606 0.5065 0.4224  1 S 1.47
O 0.4520 0.1455 0.5305  1 S 1.48
S 0.6237 0.6614 0.9155  4 O 1.45-1.51
O 0.4518 0.3049 0.0294  1 S 1.47
O 0.0261 0.8142 0.6976  1 S 1.45
Na 0.3333 0.6667 0.6602  6 O 2.48-2.75
O 0.3553 0.4906 0.0762  1 S 1.54
S 0.3736 0.3253 0.0837  4 O 1.46-1.54
O 0.1953 0.0221 0.5888  1 S 1.49
S 0.6186 0.9599 0.4170  4 O 1.46-1.55
Zn 0.6667 0.3333 0.6744  3 O 1.99
O 0.1492 0.6955 0.4688  1 S 1.46
O 0.8269 0.0208 0.0889  1 S 1.47
O 0.5094 0.8648 0.0762  1 S 1.54
S 0.9998 0.7019 0.7476  4 O 1.45-1.56
Na 0.3333 0.6667 0.1762  3 O 2.44
O 0.3045 0.4537 0.4688  1 S 1.46
O 0.8022 0.8259 0.9121  1 S 1.51
O 0.8844 0.3612 0.6374  1 S 1.49
O 0.7881 0.9739 0.6976  1 S 1.45
Zn 0.0000 0.0000 0.1543  6 O 2.02-2.20
Zr 0.0000 0.0000 0.3541  6 O 2.07-2.11

***

Record 3
Density functional theory data (PBE) for a relaxed structure of MgZn.

Values from the calculation:
* SG: Pmma, No. 51
* energy relative to the elements: -0.09 eV per atom

a b c (Å): 3.1489 4.6564 4.9523
angles (deg): 90.00 90.00 90.00
Closest atoms and distances in Å follow each position.
Element x y z (fractional)
Zn 0.0000 0.2500 0.3210  8 Mg 2.87-3.00, 4 Zn 2.93-3.15
Mg 0.5000 0.2500 0.8043  8 Zn 2.87-3.00, 4 Mg 3.03-3.15
Mg 0.5000 0.7500 0.1957  8 Zn 2.87-3.00, 4 Mg 3.03-3.15
Zn 0.0000 0.7500 0.6790  8 Mg 2.87-3.00, 4 Zn 2.93-3.15

***

Record 4
Density functional theory data (PBE) for a relaxed structure of Ta3TiB4.

Values from the calculation:
* SG: Pmm2, No. 25
* energy relative to the elements: -0.84 eV per atom

a b c (Å): 3.1426 3.2821 8.6895
angles (deg): 90.00 90.00 90.00
Closest atoms and distances in Å follow each position.
Element x y z (fractional)
B 0.5000 0.0000 0.5586  2 B 1.89
Ta 0.5000 0.5000 0.3509  7 B 2.40-2.52
Ta 0.5000 0.0000 0.8569  7 B 2.40-2.59
B 0.5000 0.5000 0.0609  2 B 1.87
B 0.0000 0.0000 0.4383  2 B 1.89
Ti 0.0000 0.0000 0.1447  7 B 2.39-2.55
B 0.0000 0.5000 0.9442  2 B 1.87
Ta 0.0000 0.5000 0.6456  7 B 2.39-2.59

***

Record 5
Density functional theory data (PBE) for a relaxed structure of Nb2Te3.

Values from the calculation:
* SG: C2/m, No. 12
* energy relative to the elements: -0.68 eV per atom

a b c (Å): 7.8521 7.8521 10.6576
angles (deg): 57.64 57.64 27.28
Closest atoms and distances in Å follow each position.
Element x y z (fractional)
Te 0.8771 0.8771 0.6492  4 Nb 2.86
Nb 0.3336 0.3336 0.8814  5 Te 2.77-2.86, 2 Nb 3.04
Te 0.1288 0.1288 0.9564  4 Nb 2.77-2.94
Nb 0.6664 0.6664 0.1186  5 Te 2.77-2.86, 2 Nb 3.04
Te 0.4110 0.4110 0.3224  3 Nb 2.81
Nb 0.2439 0.2439 0.6261  6 Te 2.81-2.94
Te 0.8712 0.8712 0.0436  4 Nb 2.77-2.94
Te 0.1229 0.1229 0.3508  4 Nb 2.86
Te 0.5890 0.5890 0.6776  3 Nb 2.81
Nb 0.7561 0.7561 0.3739  6 Te 2.81-2.94